Entry 1:
Material: Na2Sc3Ta5P12O48
Method: DFT, PBE
State: relaxed

Cell: 8.775 15.197 22.798 Å, 90.00 90.02 90.02°
Fractional coordinates of all 210 atoms:
Na 0.000 0.000 0.000
Na 0.000 0.000 0.500
Na 0.000 0.336 0.339
Na 0.497 0.503 0.499
Na 0.498 0.503 0.001
Na 0.499 0.835 0.837
Sc 0.000 0.001 0.360
Sc 0.000 0.002 0.859
Sc 0.000 0.666 0.528
Sc 0.498 0.501 0.859
Sc 0.498 0.502 0.360
Sc 0.499 0.834 0.982
Sc 0.500 0.835 0.691
Sc 0.998 0.335 0.192
Sc 0.999 0.337 0.482
Ta 0.000 0.670 0.028
Ta 0.498 0.166 0.028
Ta 0.498 0.170 0.528
Ta 0.499 0.168 0.814
Ta 0.500 0.168 0.315
Ta 0.500 0.833 0.481
Ta 0.500 0.834 0.194
Ta 0.501 0.500 0.153
Ta 0.501 0.505 0.651
Ta 0.996 0.998 0.651
Ta 0.998 0.003 0.153
Ta 0.998 0.335 0.693
Ta 0.999 0.335 0.981
Ta 0.999 0.668 0.318
Ta 0.999 0.669 0.814
P 0.140 0.191 0.088
P 0.141 0.145 0.755
P 0.141 0.812 0.423
P 0.143 0.523 0.422
P 0.145 0.478 0.088
P 0.146 0.858 0.756
P 0.212 0.501 0.755
P 0.212 0.837 0.088
P 0.213 0.169 0.421
P 0.285 0.668 0.921
P 0.286 0.336 0.588
P 0.287 0.002 0.255
P 0.353 0.357 0.256
P 0.353 0.645 0.255
P 0.354 0.978 0.587
P 0.355 0.691 0.588
P 0.357 0.025 0.921
P 0.358 0.310 0.922
P 0.641 0.647 0.757
P 0.641 0.690 0.088
P 0.642 0.026 0.423
P 0.643 0.311 0.422
P 0.643 0.359 0.755
P 0.644 0.977 0.088
P 0.712 0.000 0.757
P 0.712 0.335 0.087
P 0.713 0.667 0.423
P 0.783 0.168 0.922
P 0.786 0.834 0.588
P 0.789 0.501 0.257
P 0.855 0.478 0.588
P 0.856 0.147 0.257
P 0.856 0.527 0.922
P 0.856 0.811 0.921
P 0.856 0.857 0.256
P 0.857 0.191 0.587
O 0.064 0.433 0.422
O 0.066 0.766 0.764
O 0.067 0.234 0.033
O 0.069 0.108 0.809
O 0.070 0.097 0.095
O 0.070 0.902 0.701
O 0.072 0.441 0.142
O 0.073 0.770 0.476
O 0.074 0.573 0.366
O 0.076 0.237 0.741
O 0.077 0.904 0.414
O 0.078 0.571 0.074
O 0.104 0.916 0.100
O 0.106 0.422 0.741
O 0.108 0.754 0.080
O 0.109 0.583 0.764
O 0.113 0.578 0.476
O 0.113 0.754 0.366
O 0.115 0.086 0.700
O 0.115 0.914 0.810
O 0.116 0.419 0.033
O 0.118 0.085 0.418
O 0.118 0.252 0.425
O 0.122 0.245 0.142
O 0.177 0.990 0.595
O 0.179 0.659 0.976
O 0.180 0.657 0.262
O 0.180 0.677 0.866
O 0.182 0.317 0.933
O 0.184 0.017 0.200
O 0.184 0.021 0.918
O 0.184 0.344 0.247
O 0.185 0.321 0.643
O 0.189 0.677 0.579
O 0.192 0.982 0.308
O 0.194 0.354 0.534
O 0.305 0.482 0.809
O 0.305 0.855 0.034
O 0.313 0.177 0.075
O 0.313 0.822 0.143
O 0.315 0.515 0.414
O 0.315 0.517 0.700
O 0.315 0.844 0.748
O 0.317 0.156 0.764
O 0.319 0.159 0.476
O 0.319 0.177 0.366
O 0.319 0.819 0.431
O 0.321 0.489 0.095
O 0.380 0.584 0.918
O 0.380 0.752 0.925
O 0.380 0.919 0.533
O 0.383 0.414 0.309
O 0.384 0.586 0.199
O 0.385 0.254 0.867
O 0.387 0.745 0.643
O 0.390 0.083 0.263
O 0.390 0.254 0.580
O 0.392 0.922 0.241
O 0.393 0.416 0.600
O 0.396 0.082 0.976
O 0.420 0.071 0.575
O 0.422 0.738 0.240
O 0.424 0.942 0.642
O 0.425 0.074 0.866
O 0.425 0.263 0.977
O 0.427 0.401 0.919
O 0.428 0.402 0.200
O 0.430 0.609 0.308
O 0.433 0.265 0.264
O 0.434 0.735 0.533
O 0.435 0.936 0.925
O 0.436 0.597 0.596
O 0.564 0.935 0.433
O 0.566 0.400 0.418
O 0.567 0.728 0.034
O 0.568 0.402 0.701
O 0.570 0.069 0.367
O 0.571 0.266 0.765
O 0.572 0.603 0.811
O 0.572 0.935 0.143
O 0.573 0.071 0.080
O 0.575 0.263 0.477
O 0.575 0.597 0.100
O 0.578 0.738 0.749
O 0.604 0.253 0.367
O 0.604 0.923 0.749
O 0.606 0.084 0.477
O 0.606 0.256 0.074
O 0.606 0.590 0.415
O 0.607 0.418 0.094
O 0.612 0.749 0.143
O 0.613 0.086 0.765
O 0.613 0.587 0.701
O 0.614 0.753 0.430
O 0.625 0.413 0.810
O 0.626 0.922 0.033
O 0.678 0.487 0.601
O 0.680 0.151 0.264
O 0.680 0.157 0.977
O 0.681 0.853 0.533
O 0.682 0.180 0.579
O 0.683 0.183 0.868
O 0.683 0.515 0.200
O 0.683 0.816 0.925
O 0.683 0.845 0.241
O 0.685 0.514 0.919
O 0.690 0.487 0.310
O 0.691 0.825 0.643
O 0.803 0.318 0.142
O 0.808 0.654 0.477
O 0.809 0.988 0.811
O 0.813 0.016 0.419
O 0.814 0.683 0.367
O 0.815 0.016 0.701
O 0.815 0.344 0.742
O 0.815 0.351 0.033
O 0.816 0.315 0.425
O 0.816 0.680 0.079
O 0.818 0.651 0.765
O 0.818 0.992 0.100
O 0.870 0.420 0.534
O 0.872 0.914 0.309
O 0.881 0.253 0.933
O 0.885 0.088 0.919
O 0.886 0.248 0.643
O 0.886 0.587 0.264
O 0.887 0.087 0.201
O 0.887 0.922 0.596
O 0.891 0.759 0.579
O 0.892 0.584 0.977
O 0.893 0.423 0.247
O 0.894 0.752 0.867
O 0.921 0.238 0.248
O 0.922 0.429 0.643
O 0.923 0.568 0.585
O 0.923 0.763 0.977
O 0.924 0.097 0.600
O 0.927 0.103 0.310
O 0.927 0.766 0.263
O 0.928 0.568 0.867
O 0.929 0.903 0.200
O 0.932 0.228 0.533
O 0.934 0.435 0.933
O 0.934 0.901 0.919

Calculated values
The calculation puts the electronic total energy at -565.96 eV/f.u. For the total magnetization, the calculation gives 0.0 μB/f.u.

Entry 2:
Material: Na3ScTi3P6O24
Method: DFT, PBE
State: relaxed

Cell: 8.694 8.729 22.401 Å, 89.98 89.99 60.17°
Fractional coordinates of all 111 atoms:
Na 0.000 0.000 0.000
Na 0.006 0.000 0.499
Na 0.040 0.658 0.415
Na 0.311 0.657 0.916
Na 0.339 0.326 0.833
Na 0.346 0.319 0.330
Na 0.373 0.991 0.749
Na 0.673 0.659 0.164
Na 0.680 0.652 0.664
Sc 0.340 0.319 0.981
Sc 0.346 0.319 0.479
Sc 0.680 0.653 0.811
Ti 0.005 0.000 0.349
Ti 0.006 0.992 0.145
Ti 0.006 0.993 0.644
Ti 0.339 0.327 0.183
Ti 0.339 0.334 0.683
Ti 0.671 0.660 0.519
Ti 0.672 0.660 0.310
Ti 0.676 0.658 0.019
Ti 0.999 0.999 0.852
P 0.007 0.280 0.747
P 0.008 0.704 0.249
P 0.047 0.326 0.083
P 0.047 0.619 0.581
P 0.290 0.703 0.748
P 0.295 0.994 0.248
P 0.339 0.619 0.082
P 0.340 0.034 0.583
P 0.383 0.950 0.914
P 0.386 0.663 0.414
P 0.632 0.034 0.083
P 0.633 0.326 0.582
P 0.673 0.946 0.414
P 0.677 0.368 0.915
P 0.717 0.281 0.248
P 0.718 0.997 0.747
P 0.956 0.371 0.414
P 0.962 0.661 0.915
O 0.025 0.161 0.093
O 0.026 0.804 0.592
O 0.036 0.790 0.306
O 0.041 0.159 0.803
O 0.138 0.358 0.419
O 0.139 0.355 0.138
O 0.141 0.496 0.636
O 0.151 0.504 0.921
O 0.156 0.544 0.524
O 0.158 0.290 0.027
O 0.173 0.519 0.241
O 0.175 0.804 0.093
O 0.176 0.011 0.592
O 0.176 0.022 0.304
O 0.179 0.787 0.805
O 0.180 0.291 0.740
O 0.198 0.829 0.408
O 0.198 0.961 0.908
O 0.200 0.824 0.693
O 0.207 0.963 0.193
O 0.304 0.147 0.527
O 0.304 0.546 0.025
O 0.308 0.518 0.740
O 0.314 0.160 0.241
O 0.359 0.134 0.920
O 0.360 0.502 0.419
O 0.368 0.496 0.137
O 0.370 0.121 0.639
O 0.472 0.689 0.752
O 0.472 0.826 0.969
O 0.474 0.690 0.470
O 0.479 0.827 0.256
O 0.488 0.870 0.856
O 0.503 0.636 0.359
O 0.508 0.637 0.076
O 0.508 0.848 0.575
O 0.510 0.126 0.138
O 0.510 0.128 0.418
O 0.511 0.350 0.922
O 0.511 0.356 0.638
O 0.530 0.163 0.741
O 0.532 0.300 0.241
O 0.555 0.291 0.526
O 0.557 0.145 0.027
O 0.640 0.483 0.860
O 0.649 0.848 0.076
O 0.650 0.494 0.576
O 0.650 0.852 0.358
O 0.692 0.836 0.751
O 0.699 0.466 0.257
O 0.705 0.458 0.971
O 0.708 0.826 0.470
O 0.807 0.023 0.803
O 0.807 0.163 0.304
O 0.818 0.162 0.592
O 0.819 0.011 0.093
O 0.835 0.970 0.692
O 0.836 0.193 0.193
O 0.840 0.685 0.256
O 0.841 0.460 0.471
O 0.843 0.690 0.971
O 0.844 0.462 0.751
O 0.845 0.183 0.908
O 0.846 0.957 0.407
O 0.862 0.494 0.076
O 0.862 0.636 0.575
O 0.867 0.491 0.359
O 0.882 0.631 0.859
O 0.974 0.186 0.407
O 0.977 0.823 0.194
O 0.981 0.830 0.909
O 0.984 0.186 0.692

Calculated values
The calculation puts the electronic total energy at -280.55 eV/f.u. For the total magnetization, the calculation gives 0.0 μB/f.u.

Entry 3:
Material: Na3YScP3O12
Method: DFT, PBE
State: relaxed

Cell: 9.189 9.289 13.105 Å, 90.36 90.04 90.17°
Fractional coordinates of all 80 atoms:
Na 0.000 0.000 0.000
Na 0.009 0.647 0.685
Na 0.156 0.633 0.427
Na 0.196 0.627 0.931
Na 0.335 0.638 0.188
Na 0.353 0.993 0.499
Na 0.501 0.504 0.492
Na 0.524 0.145 0.184
Na 0.657 0.127 0.931
Na 0.696 0.132 0.427
Na 0.833 0.136 0.687
Na 0.848 0.497 0.999
Y 0.165 0.935 0.287
Y 0.176 0.342 0.581
Y 0.185 0.935 0.788
Y 0.665 0.434 0.786
Sc 0.174 0.340 0.083
Sc 0.674 0.840 0.581
Sc 0.676 0.841 0.083
Sc 0.684 0.435 0.285
P 0.021 0.978 0.538
P 0.027 0.292 0.840
P 0.327 0.987 0.041
P 0.328 0.292 0.331
P 0.374 0.642 0.678
P 0.485 0.133 0.678
P 0.526 0.489 0.043
P 0.533 0.785 0.333
P 0.820 0.489 0.534
P 0.820 0.791 0.836
P 0.872 0.142 0.180
P 0.970 0.634 0.181
O 0.063 0.129 0.844
O 0.065 0.545 0.104
O 0.066 0.138 0.540
O 0.072 0.907 0.639
O 0.075 0.709 0.257
O 0.081 0.357 0.738
O 0.095 0.377 0.931
O 0.099 0.897 0.451
O 0.253 0.906 0.951
O 0.264 0.384 0.419
O 0.268 0.347 0.228
O 0.269 0.711 0.756
O 0.275 0.912 0.139
O 0.278 0.147 0.044
O 0.282 0.565 0.594
O 0.294 0.129 0.343
O 0.356 0.482 0.038
O 0.364 0.795 0.338
O 0.384 0.031 0.735
O 0.392 0.239 0.615
O 0.468 0.531 0.734
O 0.474 0.750 0.621
O 0.496 0.983 0.036
O 0.497 0.306 0.334
O 0.570 0.622 0.335
O 0.571 0.650 0.045
O 0.579 0.047 0.599
O 0.579 0.419 0.144
O 0.589 0.851 0.231
O 0.590 0.205 0.755
O 0.596 0.869 0.426
O 0.599 0.407 0.954
O 0.748 0.412 0.442
O 0.754 0.876 0.928
O 0.765 0.851 0.733
O 0.767 0.226 0.251
O 0.767 0.646 0.543
O 0.772 0.408 0.632
O 0.777 0.052 0.103
O 0.786 0.627 0.842
O 0.853 0.973 0.532
O 0.859 0.302 0.847
O 0.866 0.531 0.238
O 0.876 0.739 0.117
O 0.965 0.040 0.244
O 0.974 0.239 0.115
O 0.989 0.492 0.529
O 0.989 0.803 0.843

Calculated values
The calculation puts the electronic total energy at -145.61 eV/f.u. For the total magnetization, the calculation gives 0.0 μB/f.u.

Number 1: theoretical density 3.6 Mg/m³, formation energy from the elements -3.08 eV/atom. Number 2: theoretical density 2.8 Mg/m³, formation energy from the elements -3.02 eV/atom. Number 3: theoretical density 2.9 Mg/m³, formation energy from the elements -3.07 eV/atom.